Record 1
A plane-wave DFT calculation with GGA-PBE was carried out for Na8AsO3 after structural relaxation.

Calculated values
E_form, meV per atom: -996
Electronic total energy, eV/atom: -3.331
Total moment, μB/f.u.: 0.999
MP2020-corrected energy, eV for the cell shown: -42.0
Volume, A^3/atom: 18.1

Cell: 6.0064 6.0064 6.0064 Å, 90.00 90.00 90.00°
Element x y z (fractional)
1 Na 0.2344 0.2344 0.2344
2 Na 0.2344 0.2344 0.7656
3 Na 0.2344 0.7656 0.2344
4 Na 0.2344 0.7656 0.7656
5 Na 0.7656 0.2344 0.2344
6 Na 0.7656 0.2344 0.7656
7 Na 0.7656 0.7656 0.2344
8 Na 0.7656 0.7656 0.7656
9 As 0.5000 0.5000 0.5000
10 O 0.0000 0.0000 0.5000
11 O 0.0000 0.5000 0.0000
12 O 0.5000 0.0000 0.0000

=====

Record 2
A plane-wave DFT calculation with GGA-PBE was carried out for Al6Cu2B4O17 after structural relaxation.

Calculated values
E_form, meV per atom: -2893
Electronic total energy, eV/atom: -7.370
Total moment, μB/f.u.: 1.999
MP2020-corrected energy, eV for the cell shown: -225.4
Volume, A^3/atom: 11.2

Cell: 7.9788 7.9788 10.6636 Å, 130.63 130.63 42.13°
Element x y z (fractional)
1 Al 0.0000 0.0000 0.0000
2 Al 0.3151 0.8131 0.8381
3 Al 0.3183 0.8227 0.3459
4 Al 0.8131 0.3151 0.8381
5 Al 0.8227 0.3183 0.3459
6 Al 0.8431 0.8431 0.0542
7 Cu 0.6277 0.6277 0.6789
8 Cu 0.7874 0.7874 0.6246
9 B 0.0521 0.0521 0.5834
10 B 0.3129 0.3129 0.5757
11 B 0.3189 0.3189 0.1028
12 B 0.5744 0.5744 0.0990
13 O 0.0290 0.0290 0.1996
14 O 0.0425 0.4480 0.5039
15 O 0.0546 0.0546 0.4555
16 O 0.1723 0.5962 0.1664
17 O 0.1905 0.1905 0.9737
18 O 0.2539 0.8485 0.6511
19 O 0.3618 0.7834 0.0317
20 O 0.4425 0.4425 0.7148
21 O 0.4480 0.0425 0.5039
22 O 0.5735 0.5735 0.2261
23 O 0.5962 0.1723 0.1664
24 O 0.6027 0.6027 0.4802
25 O 0.6741 0.6741 0.9148
26 O 0.7834 0.3618 0.0317
27 O 0.8363 0.8363 0.8800
28 O 0.8485 0.2539 0.6511
29 O 0.9660 0.9660 0.7908

=====

Record 3
A plane-wave DFT calculation with GGA-PBE was carried out for KLaH2S2O9 after structural relaxation.

Calculated values
E_form, meV per atom: -2307
Electronic total energy, eV/atom: -6.270
Total moment, μB/f.u.: 0.000
MP2020-corrected energy, eV for the cell shown: -300.7
Volume, A^3/atom: 13.8

Cell: 7.3286 7.3286 13.3330 Å, 90.00 90.00 120.00°
Element x y z (fractional)
1 K 0.0000 0.4479 0.3333
2 K 0.4479 0.0000 0.6667
3 K 0.5521 0.5521 0.0000
4 La 0.0000 0.4410 0.8333
5 La 0.4410 0.0000 0.1667
6 La 0.5590 0.5590 0.5000
7 H 0.0241 0.9403 0.4554
8 H 0.0597 0.0838 0.1221
9 H 0.0838 0.0597 0.8779
10 H 0.9162 0.9759 0.7887
11 H 0.9403 0.0241 0.5446
12 H 0.9759 0.9162 0.2113
13 S 0.0050 0.4432 0.5931
14 S 0.4382 0.9950 0.9264
15 S 0.4432 0.0050 0.4069
16 S 0.5568 0.5618 0.2598
17 S 0.5618 0.5568 0.7402
18 S 0.9950 0.4382 0.0736
19 O 0.0000 0.0947 0.8333
20 O 0.0947 0.0000 0.1667
21 O 0.1141 0.6220 0.6658
22 O 0.1187 0.3704 0.0091
23 O 0.1338 0.6126 0.1415
24 O 0.1601 0.4171 0.5316
25 O 0.2518 0.8813 0.3425
26 O 0.2570 0.8399 0.8650
27 O 0.3704 0.1187 0.9909
28 O 0.3780 0.4921 0.3325
29 O 0.3874 0.5213 0.8082
30 O 0.4171 0.1601 0.4684
31 O 0.4787 0.8662 0.4748
32 O 0.4921 0.3780 0.6675
33 O 0.5079 0.8859 0.9991
34 O 0.5213 0.3874 0.1918
35 O 0.5829 0.7430 0.1983
36 O 0.6126 0.1338 0.8585
37 O 0.6220 0.1141 0.3342
38 O 0.6296 0.7482 0.6758
39 O 0.7430 0.5829 0.8017
40 O 0.7482 0.6296 0.3242
41 O 0.8399 0.2570 0.1350
42 O 0.8662 0.4787 0.5252
43 O 0.8813 0.2518 0.6575
44 O 0.8859 0.5079 0.0009
45 O 0.9053 0.9053 0.5000

=====

Record 4
A plane-wave DFT calculation with GGA-PBE was carried out for TbZnSn after structural relaxation.

Calculated values
E_form, meV per atom: -604
Electronic total energy, eV/atom: -3.905
Volume, A^3/atom: 23.5

Cell: 4.5158 4.5158 15.9923 Å, 90.00 90.00 120.00°
Element x y z (fractional)
1 Tb 0.0000 0.0000 0.0000
2 Tb 0.0000 0.0000 0.2500
3 Tb 0.0000 0.0000 0.5000
4 Tb 0.0000 0.0000 0.7500
5 Zn 0.3333 0.6667 0.1604
6 Zn 0.3333 0.6667 0.3396
7 Zn 0.6667 0.3333 0.6604
8 Zn 0.6667 0.3333 0.8396
9 Sn 0.3333 0.6667 0.6136
10 Sn 0.3333 0.6667 0.8864
11 Sn 0.6667 0.3333 0.1136
12 Sn 0.6667 0.3333 0.3864

=====

Record 5
A plane-wave DFT calculation with GGA-PBE was carried out for Zr37Mo15P4 after structural relaxation.

Calculated values
E_form, meV per atom: -258
Electronic total energy, eV/atom: -9.198
Total moment, μB/f.u.: 0.542
Volume, A^3/atom: 20.8

Cell: 8.7558 8.7558 17.5508 Å, 90.00 90.00 120.00°
Element x y z (fractional)
1 Zr 0.0000 0.0000 0.0000
2 Zr 0.0728 0.5364 0.6250
3 Zr 0.0736 0.5368 0.1251
4 Zr 0.1983 0.3966 0.2745
5 Zr 0.1983 0.3967 0.4761
6 Zr 0.1984 0.3967 0.7739
7 Zr 0.1983 0.8017 0.2745
8 Zr 0.1983 0.8017 0.4761
9 Zr 0.1984 0.8016 0.7739
10 Zr 0.2005 0.4010 0.9758
11 Zr 0.2005 0.7995 0.9758
12 Zr 0.3967 0.1984 0.2261
13 Zr 0.3967 0.1983 0.5239
14 Zr 0.3966 0.1983 0.7255
15 Zr 0.4010 0.2005 0.0242
16 Zr 0.4632 0.5368 0.1251
17 Zr 0.4632 0.9264 0.1251
18 Zr 0.4636 0.5364 0.6250
19 Zr 0.4636 0.9272 0.6250
20 Zr 0.5364 0.0728 0.3750
21 Zr 0.5364 0.4636 0.3750
22 Zr 0.5368 0.0736 0.8749
23 Zr 0.5368 0.4632 0.8749
24 Zr 0.5990 0.7995 0.9758
25 Zr 0.6034 0.8017 0.2745
26 Zr 0.6033 0.8017 0.4761
27 Zr 0.6033 0.8016 0.7739
28 Zr 0.7995 0.2005 0.0242
29 Zr 0.7995 0.5990 0.0242
30 Zr 0.8016 0.1984 0.2261
31 Zr 0.8017 0.1983 0.5239
32 Zr 0.8017 0.1983 0.7255
33 Zr 0.8016 0.6033 0.2261
34 Zr 0.8017 0.6033 0.5239
35 Zr 0.8017 0.6034 0.7255
36 Zr 0.9264 0.4632 0.8749
37 Zr 0.9272 0.4636 0.3750
38 Mo 0.0000 0.0000 0.2511
39 Mo 0.0000 0.0000 0.5000
40 Mo 0.0000 0.0000 0.7489
41 Mo 0.1086 0.2172 0.6249
42 Mo 0.1086 0.8914 0.6249
43 Mo 0.1106 0.2213 0.1275
44 Mo 0.1106 0.8894 0.1275
45 Mo 0.2172 0.1086 0.3751
46 Mo 0.2213 0.1106 0.8725
47 Mo 0.7787 0.8894 0.1275
48 Mo 0.7828 0.8914 0.6249
49 Mo 0.8894 0.1106 0.8725
50 Mo 0.8894 0.7787 0.8725
51 Mo 0.8914 0.1086 0.3751
52 Mo 0.8914 0.7828 0.3751
53 P 0.3333 0.6667 0.3750
54 P 0.3333 0.6667 0.8742
55 P 0.6667 0.3333 0.1258
56 P 0.6667 0.3333 0.6250

=====

Record 6
A plane-wave DFT calculation with GGA-PBE was carried out for CaFe2S4 after structural relaxation.

Calculated values
E_form, meV per atom: -892
Energy above the most stable polymorph in this dataset, meV/atom: 110
Electronic total energy, eV/atom: -5.674
Total moment, μB/f.u.: 5.673
MP2020-corrected energy, eV for the cell shown: -83.5
Volume, A^3/atom: 19.1

Cell: 7.2358 7.2358 7.2358 Å, 120.38 119.79 89.85°
Element x y z (fractional)
1 Ca 0.0000 0.0000 0.0000
2 Ca 0.5000 0.0000 0.5000
3 Fe 0.0000 0.0000 0.5000
4 Fe 0.0000 0.5000 0.0000
5 Fe 0.3701 0.6201 0.7500
6 Fe 0.6299 0.3799 0.2500
7 S 0.2001 0.7375 0.4625
8 S 0.2250 0.2625 0.9625
9 S 0.2272 0.2484 0.5212
10 S 0.2272 0.7060 0.9788
11 S 0.7728 0.2940 0.0212
12 S 0.7728 0.7516 0.4788
13 S 0.7750 0.7375 0.0375
14 S 0.7999 0.2625 0.5375

=====

Record 7
A plane-wave DFT calculation with GGA-PBE was carried out for K3Ba7Ti10O27F3 after structural relaxation.

Calculated values
E_form, meV per atom: -3383
Electronic total energy, eV/atom: -7.685
Total moment, μB/f.u.: 0.001
MP2020-corrected energy, eV for the cell shown: -404.2
Volume, A^3/atom: 13.0

Cell: 3.9920 3.9920 40.8676 Å, 90.00 90.00 90.00°
Element x y z (fractional)
1 K 0.0000 0.0000 0.0000
2 K 0.0000 0.0000 0.0984
3 K 0.0000 0.0000 0.7993
4 Ba 0.0000 0.0000 0.1985
5 Ba 0.0000 0.0000 0.2992
6 Ba 0.0000 0.0000 0.3993
7 Ba 0.0000 0.0000 0.4992
8 Ba 0.0000 0.0000 0.5993
9 Ba 0.0000 0.0000 0.7000
10 Ba 0.0000 0.0000 0.8992
11 Ti 0.5000 0.5000 0.0493
12 Ti 0.5000 0.5000 0.1521
13 Ti 0.5000 0.5000 0.2500
14 Ti 0.5000 0.5000 0.3495
15 Ti 0.5000 0.5000 0.4492
16 Ti 0.5000 0.5000 0.5490
17 Ti 0.5000 0.5000 0.6485
18 Ti 0.5000 0.5000 0.7466
19 Ti 0.5000 0.5000 0.8510
20 Ti 0.5000 0.5000 0.9470
21 O 0.0000 0.5000 0.0493
22 O 0.0000 0.5000 0.1506
23 O 0.0000 0.5000 0.2497
24 O 0.0000 0.5000 0.3494
25 O 0.0000 0.5000 0.4492
26 O 0.0000 0.5000 0.5492
27 O 0.0000 0.5000 0.6488
28 O 0.0000 0.5000 0.7481
29 O 0.0000 0.5000 0.8499
30 O 0.0000 0.5000 0.9483
31 O 0.5000 0.0000 0.0493
32 O 0.5000 0.0000 0.1506
33 O 0.5000 0.0000 0.2497
34 O 0.5000 0.0000 0.3494
35 O 0.5000 0.0000 0.4492
36 O 0.5000 0.0000 0.5492
37 O 0.5000 0.0000 0.6488
38 O 0.5000 0.0000 0.7481
39 O 0.5000 0.0000 0.8499
40 O 0.5000 0.0000 0.9483
41 O 0.5000 0.5000 0.1998
42 O 0.5000 0.5000 0.2994
43 O 0.5000 0.5000 0.3993
44 O 0.5000 0.5000 0.4992
45 O 0.5000 0.5000 0.5991
46 O 0.5000 0.5000 0.6989
47 O 0.5000 0.5000 0.8991
48 F 0.5000 0.5000 0.0996
49 F 0.5000 0.5000 0.7991
50 F 0.5000 0.5000 0.9991

=====

Record 8
A plane-wave DFT calculation with GGA-PBE was carried out for CsAsF4 after structural relaxation.

Calculated values
E_form, meV per atom: -2722
Largest piezoelectric modulus, C/m²: 0.2
Electronic total energy, eV/atom: -4.616
MP2020-corrected energy, eV for the cell shown: -59.1
Volume, A^3/atom: 22.4

Cell: 6.7655 4.9081 8.7653 Å, 90.00 112.58 90.00°
Element x y z (fractional)
1 Cs 0.1868 0.0000 0.2837
2 Cs 0.8132 0.5000 0.7163
3 As 0.3455 0.0054 0.8084
4 As 0.6545 0.5054 0.1916
5 F 0.1144 0.0616 0.6215
6 F 0.1412 0.9750 0.9141
7 F 0.3370 0.6372 0.7935
8 F 0.4899 0.4950 0.3326
9 F 0.5101 0.9950 0.6674
10 F 0.6630 0.1372 0.2065
11 F 0.8588 0.4750 0.0859
12 F 0.8856 0.5616 0.3785

=====

Record 9
A plane-wave DFT calculation with GGA-PBE was carried out for Ca6Mg2ZnP6H12O30 after structural relaxation.

Calculated values
E_form, meV per atom: -2568
Electronic total energy, eV/atom: -6.384
Total moment, μB/f.u.: 0.001
MP2020-corrected energy, eV for the cell shown: -384.5
Volume, A^3/atom: 10.1

Cell: 5.5309 6.9022 15.3011 Å, 86.36 86.56 82.84°
Element x y z (fractional)
1 Ca 0.0496 0.3385 0.4006
2 Ca 0.2830 0.3266 0.9323
3 Ca 0.3838 0.0064 0.7340
4 Ca 0.6162 0.9936 0.2660
5 Ca 0.7170 0.6734 0.0677
6 Ca 0.9504 0.6615 0.5994
7 Mg 0.1667 0.3334 0.1666
8 Mg 0.8333 0.6666 0.8334
9 Zn 0.5000 0.0000 0.5000
10 P 0.0534 0.8689 0.3871
11 P 0.2810 0.7974 0.9455
12 P 0.3859 0.5359 0.7211
13 P 0.6141 0.4641 0.2789
14 P 0.7190 0.2026 0.0545
15 P 0.9466 0.1311 0.6129
16 H 0.0666 0.6871 0.2087
17 H 0.1438 0.9625 0.2238
18 H 0.1895 0.7041 0.1093
19 H 0.2667 0.9795 0.1247
20 H 0.4013 0.3531 0.5425
21 H 0.4750 0.6306 0.5575
22 H 0.5250 0.3694 0.4425
23 H 0.5987 0.6469 0.4575
24 H 0.7333 0.0205 0.8753
25 H 0.8105 0.2959 0.8907
26 H 0.8562 0.0375 0.7762
27 H 0.9334 0.3129 0.7913
28 O 0.0156 0.8246 0.2903
29 O 0.0537 0.6822 0.9438
30 O 0.0794 0.6807 0.4463
31 O 0.0812 0.6257 0.1504
32 O 0.1522 0.6790 0.7471
33 O 0.1769 0.9835 0.5876
34 O 0.2520 0.0408 0.1828
35 O 0.2542 0.9870 0.8871
36 O 0.2813 0.9843 0.3868
37 O 0.3168 0.8401 0.0427
38 O 0.3504 0.4939 0.6236
39 O 0.3869 0.3489 0.2772
40 O 0.4124 0.2940 0.4837
41 O 0.4127 0.3461 0.7793
42 O 0.4855 0.3461 0.0805
43 O 0.5145 0.6540 0.9195
44 O 0.5873 0.6539 0.2207
45 O 0.5876 0.7060 0.5163
46 O 0.6131 0.6511 0.7228
47 O 0.6496 0.5061 0.3764
48 O 0.6832 0.1599 0.9573
49 O 0.7187 0.0157 0.6132
50 O 0.7458 0.0130 0.1129
51 O 0.7480 0.9592 0.8172
52 O 0.8231 0.0165 0.4124
53 O 0.8478 0.3210 0.2529
54 O 0.9188 0.3743 0.8496
55 O 0.9206 0.3193 0.5537
56 O 0.9463 0.3178 0.0562
57 O 0.9844 0.1754 0.7097